The following is a GGA+U calculation of an optimized crystal structure of ErMoO5, from Materials Project.

Values from the calculation:
The value obtained for the magnetization is 0.0 μB per cell. For the final energy, the calculation gives -7.32 eV per atom. The calculation puts the volume at 409 Å³/cell.

```
28
Lattice="-0.040 -4.507 2.810 2.636 -0.994 -5.985 11.271 2.715 4.514" Properties=species:S:1:pos:R:3 pbc="T T T"
O 8.434 -1.592 2.297
O 2.528 -3.364 -1.790
Er 7.110 -0.222 -2.298
O 6.125 -2.719 1.328
O 4.819 -1.401 3.173
O 7.742 -0.067 0.012
O 2.350 -0.561 -2.750
O 8.645 -3.134 -0.058
O 5.433 -1.194 -0.958
Er 6.757 -2.564 3.637
O 11.954 0.690 -1.227
Er 12.533 0.261 1.017
O 11.340 0.578 3.129
O 3.290 -1.902 0.679
O 8.738 1.736 2.031
O 9.048 -1.385 -1.834
Mo 3.795 -4.731 -1.841
Mo 4.984 -1.382 0.742
O 5.129 -4.522 -0.692
Mo 8.884 -1.404 0.597
O 5.222 0.348 1.397
O 1.914 -3.476 2.566
Er 1.334 -3.047 0.323
O 10.577 -0.884 0.661
Mo 10.072 1.945 3.180
O 3.247 -1.979 -4.759
O 10.621 -0.807 6.098
O 11.517 -2.225 4.089
```

***

The following is a GGA+U calculation of an optimized crystal structure of RbErMo2O8, from Materials Project.

Values from the calculation:
The value obtained for the magnetization is 0.1 μB per cell. For the final energy, the calculation gives -7.13 eV per atom. The calculation puts the volume at 796 Å³/cell.

```
48
Lattice="-3.908 2.969 1.484 -2.994 -0.151 -7.582 -10.148 -15.517 4.316" Properties=species:S:1:pos:R:3 pbc="T T T"
O -6.039 -5.635 -0.474
Er -9.339 -6.486 -2.759
O -11.323 -6.239 -4.119
O -6.279 1.543 -6.265
O -2.834 0.109 -3.320
O -5.728 -6.460 2.337
O -10.771 -14.242 4.483
O -14.595 -12.077 -1.103
O -4.515 -0.816 -5.555
O -10.564 -7.925 4.108
O -11.012 -7.063 -1.308
O -8.324 -2.287 -1.271
O -9.112 -5.072 -0.631
Rb -10.101 -9.865 1.993
Er -7.712 -6.213 0.977
Mo -6.206 -9.206 2.497
O -7.939 -7.627 -1.150
O -12.536 -11.883 3.773
O -14.217 -12.808 1.538
O -7.479 -8.418 1.460
O -12.791 -11.598 -3.265
Mo -11.331 -6.450 0.355
O -7.204 -5.785 -3.085
Mo -2.899 -0.106 1.010
O -4.882 -1.719 -2.201
O -12.329 -13.505 -0.908
Mo -12.561 -12.665 0.692
O -5.817 0.604 -3.512
Mo -4.490 -0.034 -2.473
O -9.846 -6.914 1.303
O -2.455 -0.621 -0.679
Rb -10.070 -12.077 -2.359
Er -2.310 -0.212 -5.659
O -4.260 -1.101 1.484
O -12.169 -10.980 0.419
O -11.234 -13.303 1.730
Mo -14.152 -12.593 -2.792
O -7.582 -4.033 1.661
O -4.721 0.806 -0.874
Rb -3.072 -3.591 -0.907
O -9.572 -4.280 -3.241
O -8.726 -10.411 -0.510
Mo -10.844 -3.493 -4.279
Mo -5.720 -6.249 -2.137
O -6.487 -4.774 -5.890
Rb -6.950 -2.834 -3.775
Er -10.832 -15.456 2.393
O -9.469 -8.666 -3.443
```

***

The following is a GGA+U calculation of an optimized crystal structure of Rb5ErMo4O16, from Materials Project.

Values from the calculation:
The value obtained for the magnetization is 0.0 μB per cell. For the final energy, the calculation gives -6.53 eV per atom. The calculation puts the volume at 991 Å³/cell.

```
52
Lattice="8.112 0.000 0.000 0.000 11.429 0.000 0.000 4.641 10.688" Properties=species:S:1:pos:R:3 pbc="T T T"
O 2.699 10.057 6.937
O 5.413 4.343 6.937
O 4.470 2.607 3.339
Mo 2.835 1.936 3.048
Rb 1.064 9.267 4.374
Rb 5.267 5.952 9.544
O 0.225 5.748 9.334
O 2.699 11.727 3.751
O 7.887 10.321 1.354
O 7.249 8.498 9.434
O 2.887 5.568 1.903
O 3.642 13.463 7.349
Rb 2.845 11.667 9.544
Mo 6.936 11.694 2.103
Rb 3.124 5.178 5.344
O 6.430 8.675 3.929
O 1.682 2.961 3.929
O 1.682 7.394 6.759
Mo 5.277 7.650 3.048
O 0.863 7.572 1.254
Rb 7.048 6.803 6.313
O 0.863 14.212 9.434
O 5.743 14.153 9.444
O 7.338 9.916 6.866
O 4.470 7.749 7.349
Rb 2.845 10.117 1.144
Mo 1.176 5.979 2.103
O 0.774 4.202 6.866
Rb 5.267 4.403 1.144
O 2.887 4.787 8.785
O 5.225 10.502 8.785
O 6.430 13.109 6.759
O 7.338 11.868 3.822
O 2.369 8.439 9.444
O 7.249 1.857 1.254
Rb 1.064 12.517 6.313
O 7.887 11.462 9.334
O 3.642 8.321 3.339
O 5.225 11.282 1.903
O 5.743 7.631 1.244
Mo 5.277 14.134 7.639
O 2.369 1.916 1.244
Mo 1.176 4.376 8.585
Er 7.352 8.572 0.000
Rb 7.048 3.552 4.374
O 0.225 4.607 1.354
Mo 6.936 10.090 8.585
Mo 2.835 8.419 7.639
O 0.774 6.154 3.822
O 5.413 6.013 3.751
Rb 4.988 10.892 5.344
Er 0.760 2.857 0.000
```

***

The following is a GGA+U calculation of an optimized crystal structure of RbErMo2O8, from Materials Project.

Values from the calculation:
The value obtained for the magnetization is 0.0 μB per cell. For the final energy, the calculation gives -7.10 eV per atom. The calculation puts the volume at 328 Å³/cell.

```
24
Lattice="-7.131 1.598 1.671 -0.212 -5.366 5.230 -1.652 2.070 7.261" Properties=species:S:1:pos:R:3 pbc="T T T"
O -3.137 -2.674 4.230
O -5.858 0.976 9.933
Rb -6.166 0.728 4.196
O -3.513 -1.589 7.084
Mo -2.625 -0.651 3.820
O -7.821 -0.528 9.314
Er -6.786 1.557 7.932
O -1.174 -1.170 4.848
O -7.294 -2.335 7.133
O -1.994 0.728 2.823
Mo -5.548 -2.078 6.710
O -5.482 -0.110 7.079
O -5.691 -1.949 4.934
O -3.524 0.269 5.060
Rb -2.829 -2.427 9.967
O -4.193 2.072 7.351
O -7.001 -2.427 11.339
O -4.802 -3.771 6.812
Mo -6.369 -1.047 10.343
Mo -3.447 0.379 7.453
O -1.701 0.637 7.030
O -5.471 -1.967 9.103
Er -2.208 -3.255 6.231
O -3.303 0.251 9.229
```

***

The following is a GGA+U calculation of an optimized crystal structure of ErTlMo2O8, from Materials Project.

Values from the calculation:
The value obtained for the magnetization is 0.0 μB per cell. For the final energy, the calculation gives -7.07 eV per atom. The calculation puts the volume at 776 Å³/cell.

```
48
Lattice="5.112 0.000 0.000 0.000 8.098 0.000 0.000 0.000 18.755" Properties=species:S:1:pos:R:3 pbc="T T T"
Mo 2.671 3.920 1.867
O 2.047 7.898 15.247
O 0.510 7.898 5.870
O 0.510 3.849 12.885
O 3.867 2.505 11.064
Mo 4.998 7.969 7.510
Tl 0.000 2.024 4.317
O 3.922 1.309 7.556
O 1.256 0.046 18.097
O 3.867 6.554 7.691
Tl 2.556 2.024 13.695
O 3.857 4.003 18.097
O 3.812 4.003 8.720
Er 0.000 6.073 0.115
O 1.311 5.593 17.068
O 3.801 2.505 1.686
Mo 0.115 0.129 11.245
O 3.066 0.200 3.508
O 3.801 6.554 17.068
Er 2.556 6.073 9.493
O 1.245 1.544 11.064
O 1.311 1.544 1.686
O 3.812 8.052 10.035
O 1.366 2.740 16.933
Mo 2.441 4.178 16.888
Mo 2.671 7.969 16.888
O 1.190 6.789 11.199
O 4.603 0.200 12.885
O 3.747 5.358 1.821
Tl 2.556 6.073 5.060
O 4.603 4.249 5.870
Er 2.556 2.024 9.262
O 3.066 4.249 15.247
Tl 0.000 6.073 14.438
O 2.047 3.849 3.508
Mo 4.998 3.920 11.245
O 1.301 4.095 10.035
Mo 0.115 4.178 7.510
O 1.190 2.740 7.556
Er 0.000 2.024 18.640
O 1.301 0.046 8.720
O 3.922 5.358 11.199
O 3.747 1.309 16.933
O 1.245 5.593 7.691
O 3.857 8.052 0.658
O 1.366 6.789 1.821
Mo 2.441 0.129 1.867
O 1.256 4.095 0.658
```

***

The following is a GGA+U calculation of an optimized crystal structure of Na2ErPWO8, from Materials Project.

Values from the calculation:
The value obtained for the magnetization is 0.0 μB per cell. For the final energy, the calculation gives -7.06 eV per atom. The calculation puts the volume at 769 Å³/cell.

```
52
Lattice="-5.917 7.682 6.199 0.178 9.652 -6.265 -3.768 -10.863 0.494" Properties=species:S:1:pos:R:3 pbc="T T T"
Na -6.967 0.639 -0.016
P -1.571 -0.524 -0.977
W -6.307 10.939 1.628
O -4.759 2.902 2.715
O -6.605 -2.017 3.914
O -6.488 7.322 1.882
O -7.481 2.690 4.453
Na -6.283 4.602 2.857
O -7.838 7.177 -0.141
O -6.417 6.211 4.630
O -2.750 3.559 0.601
Na -3.161 5.612 -3.255
O -3.020 -3.299 0.196
Er -4.411 -1.473 -3.141
Na -4.022 -8.003 0.138
O -2.903 8.488 -3.486
O -1.669 -0.705 0.568
O -6.487 9.770 0.232
Na -5.486 14.474 0.289
O -3.019 -0.850 -1.454
O -4.749 3.569 -2.287
O -5.467 10.118 3.032
O -1.915 11.269 -3.549
P -7.937 6.995 1.405
O -3.091 0.260 -4.202
Na -2.541 5.832 0.443
Na -6.347 0.859 3.682
P -6.414 -2.115 2.369
Er -4.022 -1.329 0.716
Er -5.097 7.944 3.569
O -2.027 3.781 -4.025
O -5.304 12.333 1.075
W -3.201 -4.468 -1.200
O -7.593 -4.798 3.977
O -3.390 7.190 -1.341
W -3.437 2.272 1.661
O -8.340 5.564 1.833
O -4.123 0.937 0.614
O -4.273 9.496 -1.523
O -6.758 2.912 -0.173
O -4.204 -5.862 -0.647
O -4.040 -3.647 -2.604
W -6.071 4.199 -1.234
O -5.235 -3.025 1.950
O -5.506 -1.672 -0.971
O -1.167 0.908 -1.405
P -3.094 8.586 -1.942
O -4.002 8.143 1.399
Er -5.486 7.800 -0.289
Na -3.225 1.869 -2.429
O -6.118 -0.719 1.769
O -5.385 5.534 -0.187
```

***

The following is a GGA+U calculation of an optimized crystal structure of Nd3ErW6O24, from Materials Project.

Values from the calculation:
The value obtained for the magnetization is 0.0 μB per cell. For the final energy, the calculation gives -7.79 eV per atom. The calculation puts the volume at 504 Å³/cell.

```
34
Lattice="-3.719 -5.846 1.313 -3.702 5.838 1.327 0.043 -0.014 -11.648" Properties=species:S:1:pos:R:3 pbc="T T T"
O -2.840 3.316 -5.683
Nd -6.067 1.459 -2.554
O -2.902 -3.376 0.137
O -2.024 -0.870 -8.658
O -3.151 -2.352 -5.172
O -4.233 -2.382 -9.699
W -3.676 4.434 -1.562
O -4.529 -3.347 -3.307
O -2.634 -0.377 0.237
Er -1.318 1.500 -0.615
O -4.718 -0.415 -3.449
W -4.847 1.690 1.147
O -3.608 -5.376 -5.838
O -4.513 3.318 -9.168
O -2.237 -3.429 -7.598
O -2.227 3.368 -1.701
W -3.695 -4.466 -7.446
O -5.137 -3.418 -7.236
O -4.223 2.332 -3.824
W -2.525 1.687 -4.293
W -2.541 -1.709 -10.202
Nd -1.309 -1.484 -6.458
O -3.810 -5.328 -9.082
O -2.645 0.389 -5.518
O -4.687 0.376 -9.282
O -2.009 0.886 -2.725
O -5.140 3.406 -1.401
O -3.134 2.297 0.631
O -5.369 0.821 -0.373
O -3.644 5.391 0.019
Nd -6.056 -1.491 -8.399
O -3.765 5.334 -3.171
W -4.842 -1.711 -4.675
O -5.361 -0.849 -6.207
```

***

The following is a GGA+U calculation of an optimized crystal structure of ErNiO3, from Materials Project.

Values from the calculation:
The value obtained for the magnetization is 4.0 μB per cell. For the final energy, the calculation gives -6.63 eV per atom. The calculation puts the volume at 214 Å³/cell.

```
20
Lattice="-3.481 -0.049 4.334 3.504 -2.609 2.786 6.388 3.804 5.175" Properties=species:S:1:pos:R:3 pbc="T T T"
O 3.686 2.492 6.302
Er 5.345 0.929 8.411
Ni 3.205 0.573 6.147
Ni -1.741 -0.024 2.167
Ni 1.752 -1.304 1.393
Er 0.939 -0.990 7.333
O 2.311 -1.769 3.274
O 1.986 0.611 1.855
Er 1.066 0.217 3.883
Er 5.472 2.135 4.961
O 4.100 2.915 9.020
O 2.963 0.373 8.170
O 4.425 0.535 10.439
O 0.196 -1.522 5.052
O 2.725 -1.346 5.993
O 1.243 1.018 6.013
O 6.215 2.668 7.242
O 5.168 0.128 6.281
O 3.447 0.772 4.124
Ni 3.194 1.902 2.587
```